DFT (PBE) results for an optimized crystal structure of Rb3Er.

Calculated values
For the polymorph energy (0 for the lowest one), the calculation gives 0.0000 eV/atom. The calculation puts the total energy at -1.2462 eV/atom. As for the spin magnetization: 1.026 Bohr magnetons per cell. The crystal system is hexagonal. Its calculated volume is 530 Å³/cell. The value obtained for the formation energy is 0.631 eV/atom.

abc: 9.095 9.095 7.399
angles: 90.00 90.00 120.00
Sites, in units of the cell vectors:
Rb1 0.174 0.347 0.250
Rb2 0.653 0.826 0.250
Rb3 0.174 0.826 0.250
Rb4 0.826 0.653 0.750
Rb5 0.347 0.174 0.750
Rb6 0.826 0.174 0.750
Er1 0.333 0.667 0.750
Er2 0.667 0.333 0.250

---

DFT (PBE) results for an optimized crystal structure of Rb3Er.

Calculated values
For the polymorph energy (0 for the lowest one), the calculation gives 0.0019 eV/atom. The calculation puts the total energy at -1.2443 eV/atom. As for the spin magnetization: 0.118 Bohr magnetons per cell. The crystal system is cubic. Its calculated volume is 266 Å³/cell. The value obtained for the formation energy is 0.633 eV/atom.

abc: 7.219 7.219 7.219
angles: 60.00 60.00 60.00
Sites, in units of the cell vectors:
Rb1 0.250 0.250 0.250
Rb2 0.750 0.750 0.750
Rb3 0.500 0.500 0.500
Er1 0.000 0.000 0.000

---

DFT (PBE) results for an optimized crystal structure of Rb3Er.

Calculated values
For the polymorph energy (0 for the lowest one), the calculation gives 0.0087 eV/atom. The calculation puts the total energy at -1.2376 eV/atom. As for the spin magnetization: 1.079 Bohr magnetons per cell. The crystal system is cubic. Its calculated volume is 266 Å³/cell. The value obtained for the formation energy is 0.640 eV/atom.

abc: 6.433 6.433 6.433
angles: 90.00 90.00 90.00
Sites, in units of the cell vectors:
Rb1 0.500 0.000 0.000
Rb2 0.000 0.500 0.000
Rb3 0.000 0.000 0.500
Er1 0.500 0.500 0.500